A plane-wave DFT calculation with PBE-GGA was carried out for crystalline Li2Cu3Ge at its relaxed geometry.

Values from the calculation:
Formation energy from the elements: -0.18 eV/atom
Final energy: -65.42 eV for the cell shown

abc: 4.9675 4.9675 11.8476
angles: 90.00 90.00 120.00
Space group R-3m (No. 166, hexagonal axes)
Asymmetric unit:
Li 0.0000 0.0000 0.1264 (multiplicity 6)
Cu 0.0000 0.5000 0.0000 (multiplicity 9)
Ge 0.0000 0.0000 0.5000 (multiplicity 3)